The following is a PBE-GGA calculation of a geometry-optimized ZnBO3 structure, from the Materials Project.

## Properties
E (MP2020)   -27.98 eV/cell

Lattice parameters (Å, degrees): 3.3788 3.3788 3.3788 90.00 90.00 90.00
Atoms (fractional coordinates):
Zn: 0.0000 0.0000 0.0000
B: 0.5000 0.5000 0.5000
O: 0.5000 0.0000 0.5000
O: 0.5000 0.5000 0.0000
O: 0.0000 0.5000 0.5000

=====

The following is a PBE-GGA calculation of a geometry-optimized ZrB2O5 structure, from the Materials Project.

## Properties
E (MP2020)   -288.76 eV/cell

Lattice parameters (Å, degrees): 7.0102 4.4529 9.0717 89.05 90.00 90.00
Atoms (fractional coordinates):
B: 0.7697 0.4727 0.4230
B: 0.0870 0.4653 0.8341
B: 0.5870 0.5347 0.6659
B: 0.7303 0.4727 0.9230
B: 0.4130 0.4653 0.3341
B: 0.2697 0.5273 0.0770
B: 0.2303 0.5273 0.5770
B: 0.9130 0.5347 0.1659
O: 0.6552 0.6917 0.8072
O: 0.3448 0.3083 0.1928
O: 0.7205 0.6503 0.5536
O: 0.4098 0.7854 0.3209
O: 0.2205 0.3497 0.9464
O: 0.5982 0.2330 0.9673
O: 0.2795 0.3497 0.4464
O: 0.0902 0.7854 0.8209
O: 0.0982 0.7670 0.5327
O: 0.6039 0.3319 0.3501
O: 0.8961 0.3319 0.8501
O: 0.1552 0.3083 0.6928
O: 0.8448 0.6917 0.3072
O: 0.1039 0.6681 0.1499
O: 0.3961 0.6681 0.6499
O: 0.7795 0.6503 0.0536
O: 0.9018 0.2330 0.4673
O: 0.4018 0.7670 0.0327
O: 0.9098 0.2146 0.1791
O: 0.5902 0.2146 0.6791
Zr: 0.1128 0.0013 0.3290
Zr: 0.8872 0.9987 0.6710
Zr: 0.3872 0.0013 0.8290
Zr: 0.6128 0.9987 0.1710

=====

The following is a PBE-GGA calculation of a geometry-optimized ZrBO3 structure, from the Materials Project.

## Properties
E (MP2020)   -40.49 eV/cell

Lattice parameters (Å, degrees): 3.4482 3.4482 3.4482 90.00 90.00 90.00
Atoms (fractional coordinates):
B: 0.5000 0.5000 0.5000
O: 0.5000 0.0000 0.5000
O: 0.0000 0.5000 0.5000
O: 0.5000 0.5000 0.0000
Zr: 0.0000 0.0000 0.0000

=====

The following is a PBE-GGA calculation of a geometry-optimized BOs structure, from the Materials Project.

## Properties
Energy   -70.3 eV per cell

Lattice parameters (Å, degrees): 2.8153 4.5573 7.9446 71.54 110.65 89.82
Atoms (fractional coordinates):
B: 0.3885 0.1607 0.4156
B: 0.3886 0.6627 0.9159
B: 0.6120 0.3372 0.5841
B: 0.6109 0.8394 0.0844
Os: 0.6745 0.2719 0.1996
Os: 0.3250 0.7283 0.3003
Os: 0.3257 0.2283 0.8001
Os: 0.6749 0.7715 0.7000

=====

The following is a PBE-GGA calculation of a geometry-optimized BOs structure, from the Materials Project.

## Properties
Energy   -18.4 eV per cell

Lattice parameters (Å, degrees): 2.8964 2.8964 2.8794 90.00 90.00 120.00
Atoms (fractional coordinates):
Os: 0.0000 0.0000 0.0000
B: 0.3333 0.6667 0.5000

=====

The following is a PBE-GGA calculation of a geometry-optimized B2Os structure, from the Materials Project.

## Properties
Energy   -50.5 eV per cell

Lattice parameters (Å, degrees): 2.8873 4.0912 4.7092 90.00 90.00 90.00
Atoms (fractional coordinates):
B: 0.0000 0.3620 0.1941
B: 0.5000 0.6380 0.6941
B: 0.5000 0.6380 0.3059
B: 0.0000 0.3620 0.8059
Os: 0.5000 0.1550 0.5000
Os: 0.0000 0.8450 0.0000

=====

The following is a PBE-GGA calculation of a geometry-optimized PrB2Os2 structure, from the Materials Project.

## Properties
Energy   -85.4 eV per cell

Lattice parameters (Å, degrees): 6.8350 6.0404 5.6658 71.37 56.87 51.77
Atoms (fractional coordinates):
B: 0.6839 0.3161 0.6839
B: 0.3161 0.6839 0.3161
B: 0.9339 0.5661 0.9339
B: 0.5661 0.9339 0.5661
Os: 0.6136 0.6136 0.8864
Os: 0.6364 0.6364 0.3636
Os: 0.8864 0.8864 0.6136
Os: 0.3636 0.3636 0.6364
Pr: 0.0000 0.0000 0.0000
Pr: 0.2500 0.2500 0.2500

=====

The following is a PBE-GGA calculation of a geometry-optimized Pu2B6Os structure, from the Materials Project.

## Properties
Energy   -336.9 eV per cell

Lattice parameters (Å, degrees): 3.5729 9.3074 11.3341 90.00 90.00 90.00
Atoms (fractional coordinates):
B: 0.5000 0.4481 0.5690
B: 0.5000 0.9481 0.9310
B: 0.5000 0.7430 0.4233
B: 0.5000 0.3540 0.8123
B: 0.5000 0.0120 0.7783
B: 0.5000 0.3059 0.2257
B: 0.5000 0.7570 0.9233
B: 0.5000 0.8059 0.2743
B: 0.5000 0.2430 0.0767
B: 0.5000 0.1941 0.7257
B: 0.5000 0.1445 0.4605
B: 0.5000 0.6941 0.7743
B: 0.5000 0.4880 0.2783
B: 0.5000 0.1460 0.3123
B: 0.5000 0.5120 0.7217
B: 0.5000 0.8555 0.5395
B: 0.5000 0.2570 0.5767
B: 0.5000 0.8540 0.6877
B: 0.5000 0.6445 0.0395
B: 0.5000 0.5519 0.4310
B: 0.5000 0.3555 0.9605
B: 0.5000 0.0519 0.0690
B: 0.5000 0.9880 0.2217
B: 0.5000 0.6460 0.1877
Pu: 0.0000 0.0401 0.5955
Pu: 0.0000 0.6615 0.5933
Pu: 0.0000 0.3385 0.4067
Pu: 0.0000 0.8385 0.0933
Pu: 0.0000 0.4599 0.0955
Pu: 0.0000 0.5401 0.9045
Pu: 0.0000 0.9599 0.4045
Pu: 0.0000 0.1615 0.9067
Os: 0.0000 0.3534 0.6813
Os: 0.0000 0.6466 0.3187
Os: 0.0000 0.8534 0.8187
Os: 0.0000 0.1466 0.1813

=====

The following is a PBE-GGA calculation of a geometry-optimized PuB4Os structure, from the Materials Project.

## Properties
Energy   -220.8 eV per cell

Lattice parameters (Å, degrees): 5.9921 11.6127 3.5396 90.00 90.00 90.00
Atoms (fractional coordinates):
Os: 0.8619 0.5926 0.0000
Os: 0.6381 0.0926 0.0000
Os: 0.1381 0.4074 0.0000
Os: 0.3619 0.9074 0.0000
Pu: 0.3736 0.6499 0.0000
Pu: 0.1264 0.1499 0.0000
Pu: 0.6264 0.3501 0.0000
Pu: 0.8736 0.8501 0.0000
B: 0.2865 0.3130 0.5000
B: 0.6349 0.5313 0.5000
B: 0.7865 0.1870 0.5000
B: 0.5286 0.8084 0.5000
B: 0.7135 0.6870 0.5000
B: 0.3861 0.0469 0.5000
B: 0.0286 0.6916 0.5000
B: 0.8861 0.4531 0.5000
B: 0.2135 0.8130 0.5000
B: 0.9714 0.3084 0.5000
B: 0.4714 0.1916 0.5000
B: 0.8651 0.0313 0.5000
B: 0.1349 0.9687 0.5000
B: 0.1139 0.5469 0.5000
B: 0.3651 0.4687 0.5000
B: 0.6139 0.9531 0.5000

=====

The following is a PBE-GGA calculation of a geometry-optimized PuB4Os structure, from the Materials Project.

## Properties
Energy   -110.4 eV per cell

Lattice parameters (Å, degrees): 6.0003 6.0003 3.5385 90.00 90.00 104.05
Atoms (fractional coordinates):
B: 0.6191 0.9362 0.5000
B: 0.0638 0.3809 0.5000
B: 0.0927 0.9073 0.5000
B: 0.9073 0.0927 0.5000
B: 0.3809 0.0638 0.5000
B: 0.6230 0.6230 0.5000
B: 0.3770 0.3770 0.5000
B: 0.9362 0.6191 0.5000
Os: 0.1845 0.1845 0.0000
Os: 0.8155 0.8155 0.0000
Pu: 0.6995 0.3005 0.0000
Pu: 0.3005 0.6995 0.0000

=====

The following is a PBE-GGA calculation of a geometry-optimized Sc2B4Os5 structure, from the Materials Project.

## Properties
Energy   -201.3 eV per cell

Lattice parameters (Å, degrees): 8.5730 3.0326 10.1825 90.00 90.01 90.00
Atoms (fractional coordinates):
Sc: 0.3437 0.5000 0.1809
Sc: 0.6563 0.5000 0.8191
Sc: 0.1561 0.5000 0.6812
Sc: 0.8439 0.5000 0.3188
B: 0.9623 0.5000 0.9104
B: 0.6473 0.5000 0.1020
B: 0.8525 0.5000 0.6019
B: 0.4631 0.5000 0.5900
B: 0.0377 0.5000 0.0896
B: 0.3527 0.5000 0.8980
B: 0.5369 0.5000 0.4100
B: 0.1475 0.5000 0.3981
Os: 0.5000 0.0000 0.0000
Os: 0.0000 0.0000 0.5000
Os: 0.1587 0.0000 0.9519
Os: 0.3415 0.0000 0.4522
Os: 0.6585 0.0000 0.5478
Os: 0.8413 0.0000 0.0481
Os: 0.0957 0.0000 0.2382
Os: 0.4044 0.0000 0.7382
Os: 0.5956 0.0000 0.2618
Os: 0.9043 0.0000 0.7618

=====

The following is a PBE-GGA calculation of a geometry-optimized ScB4Os3 structure, from the Materials Project.

## Properties
Energy   -140.7 eV per cell

Lattice parameters (Å, degrees): 6.1078 6.1078 9.8702 90.00 90.00 151.95
Atoms (fractional coordinates):
B: 0.8437 0.1563 0.8913
B: 0.3709 0.6291 0.2500
B: 0.1563 0.8437 0.1087
B: 0.8437 0.1563 0.6087
B: 0.6495 0.3505 0.2500
B: 0.1563 0.8437 0.3913
B: 0.6291 0.3709 0.7500
B: 0.3505 0.6495 0.7500
Sc: 0.5000 0.5000 0.0000
Sc: 0.5000 0.5000 0.5000
Os: 0.7982 0.2018 0.1083
Os: 0.2018 0.7982 0.8917
Os: 0.9889 0.0111 0.7500
Os: 0.0111 0.9889 0.2500
Os: 0.7982 0.2018 0.3917
Os: 0.2018 0.7982 0.6083

=====

The following is a PBE-GGA calculation of a geometry-optimized Ta2B2Os structure, from the Materials Project.

## Properties
Energy   -206.1 eV per cell

Lattice parameters (Å, degrees): 5.9093 5.9093 6.9103 90.00 90.00 90.00
Atoms (fractional coordinates):
Ta: 0.6854 0.8359 0.0000
Ta: 0.6641 0.8146 0.5000
Ta: 0.1641 0.6854 0.0000
Ta: 0.8146 0.3359 0.5000
Ta: 0.1854 0.6641 0.5000
Ta: 0.8359 0.3146 0.0000
Ta: 0.3146 0.1641 0.0000
Ta: 0.3359 0.1854 0.5000
B: 0.8863 0.6137 0.7500
B: 0.1137 0.3863 0.7500
B: 0.6137 0.1137 0.2500
B: 0.1137 0.3863 0.2500
B: 0.3863 0.8863 0.7500
B: 0.6137 0.1137 0.7500
B: 0.8863 0.6137 0.2500
B: 0.3863 0.8863 0.2500
Os: 0.0000 0.0000 0.7220
Os: 0.0000 0.0000 0.2780
Os: 0.5000 0.5000 0.2220
Os: 0.5000 0.5000 0.7780

=====

The following is a PBE-GGA calculation of a geometry-optimized Tb2B6Os structure, from the Materials Project.

## Properties
Energy   -265.1 eV per cell

Lattice parameters (Å, degrees): 3.6789 9.1997 11.5721 90.00 90.00 90.00
Atoms (fractional coordinates):
Tb: 0.0000 0.4449 0.1268
Tb: 0.0000 0.3226 0.4135
Tb: 0.0000 0.5551 0.8732
Tb: 0.0000 0.8226 0.0865
Tb: 0.0000 0.9449 0.3732
Tb: 0.0000 0.1774 0.9135
Tb: 0.0000 0.0551 0.6268
Tb: 0.0000 0.6774 0.5865
B: 0.5000 0.1120 0.4690
B: 0.5000 0.9455 0.9328
B: 0.5000 0.4850 0.2870
B: 0.5000 0.5150 0.7130
B: 0.5000 0.3670 0.8139
B: 0.5000 0.8880 0.5310
B: 0.5000 0.8670 0.6861
B: 0.5000 0.5545 0.4328
B: 0.5000 0.6120 0.0310
B: 0.5000 0.2480 0.0796
B: 0.5000 0.2910 0.2321
B: 0.5000 0.7910 0.2679
B: 0.5000 0.3880 0.9690
B: 0.5000 0.2090 0.7321
B: 0.5000 0.6330 0.1861
B: 0.5000 0.2520 0.5796
B: 0.5000 0.4455 0.5672
B: 0.5000 0.9850 0.2130
B: 0.5000 0.1330 0.3139
B: 0.5000 0.7480 0.4204
B: 0.5000 0.7520 0.9204
B: 0.5000 0.7090 0.7679
B: 0.5000 0.0545 0.0672
B: 0.5000 0.0150 0.7870
Os: 0.0000 0.1383 0.1784
Os: 0.0000 0.8617 0.8216
Os: 0.0000 0.3617 0.6784
Os: 0.0000 0.6383 0.3216

=====

The following is a PBE-GGA calculation of a geometry-optimized TbB4Os structure, from the Materials Project.

## Properties
Energy   -184.1 eV per cell

Lattice parameters (Å, degrees): 5.9870 11.5802 3.5805 90.00 90.00 90.00
Atoms (fractional coordinates):
Os: 0.6410 0.0931 0.0000
Os: 0.8590 0.5931 0.0000
Os: 0.3590 0.9069 0.0000
Os: 0.1410 0.4069 0.0000
B: 0.7119 0.6857 0.5000
B: 0.0253 0.6909 0.5000
B: 0.9747 0.3091 0.5000
B: 0.8635 0.0300 0.5000
B: 0.8876 0.4535 0.5000
B: 0.2119 0.8143 0.5000
B: 0.5253 0.8091 0.5000
B: 0.2881 0.3143 0.5000
B: 0.6124 0.9535 0.5000
B: 0.4747 0.1909 0.5000
B: 0.1124 0.5465 0.5000
B: 0.3635 0.4700 0.5000
B: 0.7881 0.1857 0.5000
B: 0.1365 0.9700 0.5000
B: 0.3876 0.0465 0.5000
B: 0.6365 0.5300 0.5000
Tb: 0.3725 0.6505 0.0000
Tb: 0.6275 0.3495 0.0000
Tb: 0.8725 0.8495 0.0000
Tb: 0.1275 0.1505 0.0000

=====

The following is a PBE-GGA calculation of a geometry-optimized ThB4Os4 structure, from the Materials Project.

## Properties
Energy   -166.0 eV per cell

Lattice parameters (Å, degrees): 7.6338 7.6338 4.0140 90.00 90.00 90.00
Atoms (fractional coordinates):
Os: 0.8572 0.3955 0.3603
Os: 0.3955 0.6428 0.1397
Os: 0.6045 0.3572 0.8603
Os: 0.1045 0.8572 0.1397
Os: 0.1428 0.6045 0.6397
Os: 0.6428 0.1045 0.3603
Os: 0.8955 0.1428 0.8603
Os: 0.3572 0.8955 0.6397
Th: 0.7500 0.7500 0.7500
Th: 0.2500 0.2500 0.2500
B: 0.4698 0.9130 0.1392
B: 0.9698 0.4130 0.8608
B: 0.5302 0.0870 0.8608
B: 0.0302 0.5870 0.1392
B: 0.0870 0.9698 0.6392
B: 0.5870 0.4698 0.3608
B: 0.4130 0.5302 0.6392
B: 0.9130 0.0302 0.3608